--- A ---
Material: Tl3B
Method: DFT, PBE
State: optimized geometry

Results
Its total moment is 0.00 μB per cell. The value obtained for the density is 9.97 g/cm³. The calculation puts the volume at 26.0 A^3/atom.

a = 5.2767 Å, b = 5.2767 Å, c = 5.2767 Å
α = 60.00°, β = 60.00°, γ = 60.00°
Positions (direct):
Tl (0.7500, 0.7500, 0.7500)
Tl (0.2500, 0.2500, 0.2500)
Tl (0.5000, 0.5000, 0.5000)
B (0.0000, 0.0000, 0.0000)

--- B ---
Material: Tl3B
Method: DFT, PBE
State: optimized geometry

Results
Its total moment is 0.00 μB per cell. The value obtained for the density is 10.36 g/cm³. The calculation puts the volume at 25.0 A^3/atom.

a = 4.6420 Å, b = 4.6420 Å, c = 4.6420 Å
α = 90.00°, β = 90.00°, γ = 90.00°
Positions (direct):
Tl (0.5000, 0.0000, 0.5000)
Tl (0.5000, 0.5000, 0.0000)
Tl (0.0000, 0.5000, 0.5000)
B (0.0000, 0.0000, 0.0000)

Least stable: B

--- A ---
Material: BW
Method: DFT, PBE
State: optimized geometry

Results
The value obtained for the density is 15.32 g/cm³. The calculation puts the volume at 10.6 A^3/atom.

a = 3.1098 Å, b = 3.1829 Å, c = 4.5509 Å
α = 69.53°, β = 90.00°, γ = 90.00°
Positions (direct):
B (0.7500, 0.5606, 0.8788)
B (0.2500, 0.4394, 0.1212)
W (0.7500, 0.8553, 0.2894)
W (0.2500, 0.1447, 0.7106)

--- B ---
Material: BW
Method: DFT, PBE
State: optimized geometry

Results
The value obtained for the density is 15.33 g/cm³. The calculation puts the volume at 10.5 A^3/atom.

a = 8.8074 Å, b = 8.8074 Å, c = 8.8074 Å
α = 159.43°, β = 159.43°, γ = 29.26°
Positions (direct):
B (0.1562, 0.1562, 0.0000)
B (0.5938, 0.0938, 0.5000)
B (0.9062, 0.4062, 0.5000)
B (0.8438, 0.8438, 0.0000)
W (0.0531, 0.5531, 0.5000)
W (0.6969, 0.6969, 0.0000)
W (0.4469, 0.9469, 0.5000)
W (0.3031, 0.3031, 0.0000)

Least stable: A

--- A ---
Material: B4W
Method: DFT, PBE
State: optimized geometry

Results
Its total moment is 0.00 μB per cell. The value obtained for the density is 9.35 g/cm³. The calculation puts the volume at 8.1 A^3/atom.

a = 5.3657 Å, b = 5.3657 Å, c = 6.4697 Å
α = 90.00°, β = 90.00°, γ = 120.00°
Positions (direct):
B (0.0000, 0.6628, 0.5000)
B (0.0000, 0.3372, 0.0000)
B (0.3372, 0.0000, 0.0000)
B (0.6667, 0.3333, 0.1190)
B (0.3333, 0.6667, 0.8810)
B (0.3372, 0.0000, 0.5000)
B (0.6628, 0.6628, 0.0000)
B (0.6667, 0.3333, 0.3810)
B (0.3333, 0.6667, 0.6190)
B (0.6628, 0.6628, 0.5000)
B (0.6628, 0.0000, 0.5000)
B (0.6628, 0.0000, 0.0000)
B (0.3372, 0.3372, 0.5000)
B (0.0000, 0.3372, 0.5000)
B (0.0000, 0.6628, 0.0000)
B (0.3372, 0.3372, 0.0000)
W (0.0000, 0.0000, 0.2500)
W (0.3333, 0.6667, 0.2500)
W (0.0000, 0.0000, 0.7500)
W (0.6667, 0.3333, 0.7500)

--- B ---
Material: B4W
Method: DFT, PBE
State: optimized geometry

Results
Its total moment is 0.29 μB per cell. The value obtained for the density is 7.94 g/cm³. The calculation puts the volume at 9.5 A^3/atom.

a = 3.9062 Å, b = 6.9756 Å, c = 6.9756 Å
α = 90.00°, β = 90.00°, γ = 90.00°
Positions (direct):
B (0.8000, 0.5000, 0.5000)
B (0.5000, 0.1820, 0.0245)
B (0.5000, 0.8180, 0.9755)
B (0.8000, 0.0000, 0.0000)
B (0.5000, 0.9755, 0.1820)
B (0.5000, 0.3180, 0.5245)
B (0.5000, 0.4124, 0.0876)
B (0.5000, 0.5876, 0.9124)
B (0.2000, 0.0000, 0.0000)
B (0.2000, 0.5000, 0.5000)
B (0.5000, 0.6820, 0.4755)
B (0.5000, 0.0245, 0.8180)
B (0.5000, 0.4755, 0.3180)
B (0.5000, 0.5245, 0.6820)
B (0.5000, 0.9124, 0.4124)
B (0.5000, 0.0876, 0.5876)
W (0.0000, 0.6196, 0.1196)
W (0.0000, 0.3804, 0.8804)
W (0.0000, 0.1196, 0.3804)
W (0.0000, 0.8804, 0.6196)

Least stable: B

--- A ---
Material: BaCaEuBiO6
Method: DFT, PBE
State: optimized geometry

Results
Its total moment is 24.00 μB per cell. The value obtained for the density is 6.70 g/cm³. The calculation puts the volume at 15.7 A^3/atom.

a = 8.5886 Å, b = 8.5503 Å, c = 8.5666 Å
α = 90.00°, β = 90.00°, γ = 90.00°
Positions (direct):
O (0.2172, 0.7157, 0.0086)
O (0.8092, 0.4893, 0.3005)
O (0.4894, 0.6866, 0.2076)
O (0.4894, 0.3134, 0.7924)
O (0.0106, 0.1866, 0.7076)
O (0.9894, 0.8134, 0.7076)
O (0.1908, 0.5107, 0.3005)
O (0.6908, 0.9893, 0.8005)
O (0.2828, 0.7843, 0.4914)
O (0.9894, 0.1866, 0.2924)
O (0.5106, 0.3134, 0.2076)
O (0.2172, 0.2843, 0.9914)
O (0.3092, 0.0107, 0.8005)
O (0.0106, 0.8134, 0.2924)
O (0.7828, 0.7157, 0.9914)
O (0.8092, 0.5107, 0.6995)
O (0.5106, 0.6866, 0.7924)
O (0.1908, 0.4893, 0.6995)
O (0.7172, 0.7843, 0.5086)
O (0.6908, 0.0107, 0.1995)
O (0.7172, 0.2157, 0.4914)
O (0.2828, 0.2157, 0.5086)
O (0.3092, 0.9893, 0.1995)
O (0.7828, 0.2843, 0.0086)
Bi (0.7500, 0.7500, 0.7500)
Bi (0.2500, 0.2500, 0.7500)
Bi (0.7500, 0.2500, 0.2500)
Bi (0.2500, 0.7500, 0.2500)
Eu (0.5000, 0.0000, 0.0000)
Eu (0.0000, 0.5000, 0.5000)
Eu (0.5000, 0.5000, 0.0000)
Eu (0.0000, 0.0000, 0.5000)
Ba (0.0000, 0.5000, 0.0000)
Ba (0.0000, 0.0000, 0.0000)
Ba (0.5000, 0.0000, 0.5000)
Ba (0.5000, 0.5000, 0.5000)
Ca (0.7500, 0.2500, 0.7500)
Ca (0.7500, 0.7500, 0.2500)
Ca (0.2500, 0.7500, 0.7500)
Ca (0.2500, 0.2500, 0.2500)

--- B ---
Material: BaCaEuBiO6
Method: DFT, PBE
State: optimized geometry

Results
Its total moment is 6.00 μB per cell. The value obtained for the density is 6.37 g/cm³. The calculation puts the volume at 16.5 A^3/atom.

a = 6.1596 Å, b = 6.1596 Å, c = 6.1596 Å
α = 60.00°, β = 60.00°, γ = 60.00°
Positions (direct):
Eu (0.5000, 0.5000, 0.5000)
Ca (0.2500, 0.2500, 0.2500)
O (0.7575, 0.7575, 0.2425)
O (0.2425, 0.2425, 0.7575)
O (0.7575, 0.2425, 0.7575)
O (0.7575, 0.2425, 0.2425)
O (0.2425, 0.7575, 0.7575)
O (0.2425, 0.7575, 0.2425)
Bi (0.0000, 0.0000, 0.0000)
Ba (0.7500, 0.7500, 0.7500)

--- C ---
Material: BaCaEuBiO6
Method: DFT, PBE
State: optimized geometry

Results
Its total moment is 12.00 μB per cell. The value obtained for the density is 6.61 g/cm³. The calculation puts the volume at 15.9 A^3/atom.

a = 6.0273 Å, b = 6.1353 Å, c = 8.6220 Å
α = 90.32°, β = 89.69°, γ = 89.91°
Positions (direct):
Ba (0.9939, 0.0394, 0.2507)
Ba (0.0061, 0.9606, 0.7493)
O (0.2168, 0.2036, 0.5392)
O (0.1992, 0.2187, 0.9542)
O (0.5727, 0.0635, 0.7405)
O (0.3146, 0.7082, 0.5584)
O (0.2889, 0.6893, 0.9356)
O (0.4273, 0.9365, 0.2595)
O (0.7832, 0.7964, 0.4608)
O (0.7111, 0.3107, 0.0644)
O (0.8805, 0.5105, 0.7617)
O (0.8008, 0.7813, 0.0458)
O (0.1195, 0.4895, 0.2383)
O (0.6854, 0.2918, 0.4416)
Eu (0.0000, 0.5000, 0.5000)
Eu (0.5000, 0.0000, 0.0000)
Ca (0.5110, 0.5473, 0.2520)
Ca (0.4890, 0.4527, 0.7480)
Bi (0.0000, 0.5000, 0.0000)
Bi (0.5000, 0.0000, 0.5000)

--- D ---
Material: BaCaEuBiO6
Method: DFT, PBE
State: optimized geometry

Results
Its total moment is 6.00 μB per cell. The value obtained for the density is 6.54 g/cm³. The calculation puts the volume at 16.1 A^3/atom.

a = 6.1079 Å, b = 6.1079 Å, c = 6.1079 Å
α = 60.00°, β = 60.00°, γ = 60.00°
Positions (direct):
O (0.2420, 0.7580, 0.2420)
O (0.7580, 0.2420, 0.7580)
O (0.2420, 0.2420, 0.7580)
O (0.7580, 0.7580, 0.2420)
O (0.7580, 0.2420, 0.2420)
O (0.2420, 0.7580, 0.7580)
Ba (0.2500, 0.2500, 0.2500)
Ca (0.5000, 0.5000, 0.5000)
Eu (0.7500, 0.7500, 0.7500)
Bi (0.0000, 0.0000, 0.0000)

Least stable: D

--- A ---
Material: BaCaGdBiO6
Method: DFT, PBE
State: optimized geometry

Results
Its total moment is 28.00 μB per cell. The value obtained for the density is 6.70 g/cm³. The calculation puts the volume at 15.9 A^3/atom.

a = 8.5756 Å, b = 8.6081 Å, c = 8.5887 Å
α = 90.00°, β = 90.00°, γ = 90.00°
Positions (direct):
O (0.6958, 0.1995, 0.4905)
O (0.7930, 0.4912, 0.3093)
O (0.3042, 0.8005, 0.4905)
O (0.9905, 0.2135, 0.2751)
O (0.2229, 0.7149, 0.0063)
O (0.9905, 0.7865, 0.7249)
O (0.0095, 0.7865, 0.2751)
O (0.7930, 0.5088, 0.6907)
O (0.6958, 0.8005, 0.5095)
O (0.5066, 0.6855, 0.7913)
O (0.0095, 0.2135, 0.7249)
O (0.3036, 0.9916, 0.2039)
O (0.2070, 0.4912, 0.6907)
O (0.2070, 0.5088, 0.3093)
O (0.5066, 0.3145, 0.2087)
O (0.6964, 0.9916, 0.7961)
O (0.3042, 0.1995, 0.5095)
O (0.4934, 0.6855, 0.2087)
O (0.3036, 0.0084, 0.7961)
O (0.4934, 0.3145, 0.7913)
O (0.7771, 0.7149, 0.9937)
O (0.2229, 0.2851, 0.9937)
O (0.7771, 0.2851, 0.0063)
O (0.6964, 0.0084, 0.2039)
Bi (0.7431, 0.7484, 0.7501)
Bi (0.2569, 0.7484, 0.2499)
Bi (0.2569, 0.2516, 0.7501)
Bi (0.7431, 0.2516, 0.2499)
Ca (0.5000, 0.0000, 0.5000)
Ca (0.0000, 0.5000, 0.5000)
Ca (0.5000, 0.0000, 0.0000)
Ca (0.5000, 0.5000, 0.0000)
Gd (0.7445, 0.2512, 0.7481)
Gd (0.2555, 0.2512, 0.2519)
Gd (0.7445, 0.7488, 0.2519)
Gd (0.2555, 0.7488, 0.7481)
Ba (0.0000, 0.5000, 0.0000)
Ba (0.0000, 0.0000, 0.0000)
Ba (0.5000, 0.5000, 0.5000)
Ba (0.0000, 0.0000, 0.5000)

--- B ---
Material: BaCaGdBiO6
Method: DFT, PBE
State: optimized geometry

Results
Its total moment is 7.00 μB per cell. The value obtained for the density is 6.49 g/cm³. The calculation puts the volume at 16.4 A^3/atom.

a = 6.1392 Å, b = 6.1392 Å, c = 6.1392 Å
α = 60.00°, β = 60.00°, γ = 60.00°
Positions (direct):
O (0.7569, 0.2431, 0.7569)
O (0.7569, 0.2431, 0.2431)
O (0.7569, 0.7569, 0.2431)
O (0.2431, 0.2431, 0.7569)
O (0.2431, 0.7569, 0.7569)
O (0.2431, 0.7569, 0.2431)
Gd (0.5000, 0.5000, 0.5000)
Bi (0.0000, 0.0000, 0.0000)
Ca (0.7500, 0.7500, 0.7500)
Ba (0.2500, 0.2500, 0.2500)

Least stable: B

--- A ---
Material: BaCaBiSbO6
Method: DFT, PBE
State: optimized geometry

Results
Its total moment is 0.00 μB per cell. The value obtained for the density is 6.34 g/cm³. The calculation puts the volume at 15.8 A^3/atom.

a = 6.0719 Å, b = 6.0719 Å, c = 6.0719 Å
α = 60.00°, β = 60.00°, γ = 60.00°
Positions (direct):
O (0.7335, 0.2665, 0.7335)
O (0.2665, 0.7335, 0.7335)
O (0.2665, 0.7335, 0.2665)
O (0.7335, 0.2665, 0.2665)
O (0.2665, 0.2665, 0.7335)
O (0.7335, 0.7335, 0.2665)
Sb (0.5000, 0.5000, 0.5000)
Bi (0.0000, 0.0000, 0.0000)
Ba (0.7500, 0.7500, 0.7500)
Ca (0.2500, 0.2500, 0.2500)

--- B ---
Material: BaCaBiSbO6
Method: DFT, PBE
State: optimized geometry

Results
Its total moment is 0.00 μB per cell. The value obtained for the density is 6.53 g/cm³. The calculation puts the volume at 15.4 A^3/atom.

a = 8.4978 Å, b = 8.5176 Å, c = 8.4874 Å
α = 90.00°, β = 90.00°, γ = 90.00°
Positions (direct):
O (0.2111, 0.5127, 0.6867)
O (0.2686, 0.0276, 0.2114)
O (0.5232, 0.3066, 0.7990)
O (0.0151, 0.2331, 0.2904)
O (0.7314, 0.0276, 0.7886)
O (0.4768, 0.6934, 0.7990)
O (0.2686, 0.9724, 0.7886)
O (0.3073, 0.2093, 0.4799)
O (0.9849, 0.7669, 0.2904)
O (0.6927, 0.7907, 0.4799)
O (0.2003, 0.6927, 0.9792)
O (0.7889, 0.5127, 0.3133)
O (0.2003, 0.3073, 0.0208)
O (0.7997, 0.6927, 0.0208)
O (0.6927, 0.2093, 0.5201)
O (0.7997, 0.3073, 0.9792)
O (0.7314, 0.9724, 0.2114)
O (0.4768, 0.3066, 0.2010)
O (0.0151, 0.7669, 0.7096)
O (0.3073, 0.7907, 0.5201)
O (0.9849, 0.2331, 0.7096)
O (0.7889, 0.4873, 0.6867)
O (0.2111, 0.4873, 0.3133)
O (0.5232, 0.6934, 0.2010)
Bi (0.7491, 0.7416, 0.7490)
Bi (0.2509, 0.7416, 0.2510)
Bi (0.7491, 0.2584, 0.2510)
Bi (0.2509, 0.2584, 0.7490)
Ca (0.0000, 0.5000, 0.0000)
Ca (0.5000, 0.5000, 0.0000)
Ca (0.5000, 0.0000, 0.5000)
Ca (0.0000, 0.5000, 0.5000)
Ba (0.0000, 0.0000, 0.0000)
Ba (0.0000, 0.0000, 0.5000)
Ba (0.5000, 0.0000, 0.0000)
Ba (0.5000, 0.5000, 0.5000)
Sb (0.7517, 0.7402, 0.2504)
Sb (0.7517, 0.2598, 0.7496)
Sb (0.2483, 0.7402, 0.7496)
Sb (0.2483, 0.2598, 0.2504)

Least stable: A

--- A ---
Material: BaCaSmBiO6
Method: DFT, PBE
State: optimized geometry

Results
Its total moment is 0.00 μB per cell. The value obtained for the density is 6.31 g/cm³. The calculation puts the volume at 16.6 A^3/atom.

a = 6.1750 Å, b = 6.1750 Å, c = 6.1750 Å
α = 60.00°, β = 60.00°, γ = 60.00°
Positions (direct):
Sm (0.5000, 0.5000, 0.5000)
O (0.7585, 0.2415, 0.2415)
O (0.7585, 0.2415, 0.7585)
O (0.2415, 0.7585, 0.7585)
O (0.7585, 0.7585, 0.2415)
O (0.2415, 0.2415, 0.7585)
O (0.2415, 0.7585, 0.2415)
Bi (0.0000, 0.0000, 0.0000)
Ca (0.2500, 0.2500, 0.2500)
Ba (0.7500, 0.7500, 0.7500)

--- B ---
Material: BaCaSmBiO6
Method: DFT, PBE
State: optimized geometry

Results
Its total moment is 0.00 μB per cell. The value obtained for the density is 6.54 g/cm³. The calculation puts the volume at 16.1 A^3/atom.

a = 8.6126 Å, b = 8.6456 Å, c = 8.6249 Å
α = 90.00°, β = 90.00°, γ = 90.00°
Positions (direct):
O (0.0108, 0.7881, 0.2766)
O (0.7803, 0.2848, 0.0080)
O (0.9892, 0.2119, 0.2766)
O (0.4913, 0.6853, 0.2068)
O (0.6942, 0.8009, 0.5112)
O (0.3058, 0.8009, 0.4888)
O (0.2059, 0.5106, 0.3096)
O (0.3058, 0.1991, 0.5112)
O (0.5087, 0.3147, 0.2068)
O (0.3030, 0.9899, 0.2018)
O (0.7803, 0.7152, 0.9920)
O (0.9892, 0.7881, 0.7234)
O (0.6970, 0.0101, 0.2018)
O (0.3030, 0.0101, 0.7982)
O (0.2197, 0.2848, 0.9920)
O (0.4913, 0.3147, 0.7932)
O (0.6942, 0.1991, 0.4888)
O (0.7941, 0.5106, 0.6904)
O (0.7941, 0.4894, 0.3096)
O (0.5087, 0.6853, 0.7932)
O (0.2197, 0.7152, 0.0080)
O (0.2059, 0.4894, 0.6904)
O (0.6970, 0.9899, 0.7982)
O (0.0108, 0.2119, 0.7234)
Sm (0.2553, 0.2510, 0.2516)
Sm (0.7447, 0.2510, 0.7484)
Sm (0.2553, 0.7490, 0.7484)
Sm (0.7447, 0.7490, 0.2516)
Ca (0.5000, 0.0000, 0.5000)
Ca (0.5000, 0.5000, 0.0000)
Ca (0.5000, 0.0000, 0.0000)
Ca (0.0000, 0.5000, 0.5000)
Bi (0.7435, 0.2515, 0.2494)
Bi (0.2565, 0.2515, 0.7506)
Bi (0.2565, 0.7485, 0.2494)
Bi (0.7435, 0.7485, 0.7506)
Ba (0.0000, 0.0000, 0.5000)
Ba (0.0000, 0.5000, 0.0000)
Ba (0.0000, 0.0000, 0.0000)
Ba (0.5000, 0.5000, 0.5000)

Least stable: A